1.
# V6GaSb, relaxed, DFT GGA-PBE
# Spin magnetization, μB/cell: 1.44
# Mass density, g/cm3: 7.15
data_V6GaSb
_cell_length_a 4.870
_cell_length_b 4.870
_cell_length_c 4.870
_cell_angle_alpha 90.00
_cell_angle_beta 90.00
_cell_angle_gamma 90.00
_symmetry_space_group_name_H-M 'P m -3'
_symmetry_Int_Tables_number 200
_symmetry_space_group_name_Hall '-P 2 2 3'
loop_
_atom_site_label
_atom_site_type_symbol
_atom_site_fract_x
_atom_site_fract_y
_atom_site_fract_z
V1 V 0.000 0.244 0.500
Ga1 Ga 0.000 0.000 0.000
Sb1 Sb 0.500 0.500 0.500

***

2.
# Zr10Ga3Sb3, relaxed, DFT GGA-PBE
# Mass density, g/cm3: 7.11
data_Zr10Ga3Sb3
_cell_length_a 8.3715
_cell_length_b 8.3715
_cell_length_c 5.7213
_cell_angle_alpha 90.00
_cell_angle_beta 90.00
_cell_angle_gamma 120.00
_symmetry_space_group_name_H-M 'P -6 2 m'
_symmetry_Int_Tables_number 189
_symmetry_space_group_name_Hall 'P -6 -2'
loop_
_atom_site_label
_atom_site_type_symbol
_atom_site_fract_x
_atom_site_fract_y
_atom_site_fract_z
Zr1 Zr 0.0000 0.2500 0.0000
Zr2 Zr 0.0000 0.7500 0.5000
Zr3 Zr 0.3333 0.6667 0.2562
Ga1 Ga 0.0000 0.3877 0.5000
Sb1 Sb 0.0000 0.6081 0.0000

***

3.
# Sc3Ga5, relaxed, DFT GGA-PBE
# Mass density, g/cm3: 5.47
data_Sc3Ga5
_cell_length_a 10.911
_cell_length_b 9.324
_cell_length_c 5.775
_cell_angle_alpha 90.00
_cell_angle_beta 90.00
_cell_angle_gamma 90.00
_symmetry_space_group_name_H-M 'P n m a'
_symmetry_Int_Tables_number 62
_symmetry_space_group_name_Hall '-P 2ac 2n'
loop_
_atom_site_label
_atom_site_type_symbol
_atom_site_fract_x
_atom_site_fract_y
_atom_site_fract_z
Sc1 Sc 0.067 0.250 0.153
Sc2 Sc 0.146 0.508 0.609
Ga1 Ga 0.010 0.250 0.622
Ga2 Ga 0.093 0.547 0.127
Ga3 Ga 0.203 0.750 0.880
Ga4 Ga 0.248 0.250 0.836

***

4.
# ScGa2, relaxed, DFT GGA-PBE
# Mass density, g/cm3: 5.63
data_ScGa2
_cell_length_a 4.120
_cell_length_b 12.736
_cell_length_c 4.145
_cell_angle_alpha 90.00
_cell_angle_beta 90.00
_cell_angle_gamma 90.00
_symmetry_space_group_name_H-M 'C m m m'
_symmetry_Int_Tables_number 65
_symmetry_space_group_name_Hall '-C 2 2'
loop_
_atom_site_label
_atom_site_type_symbol
_atom_site_fract_x
_atom_site_fract_y
_atom_site_fract_z
Sc1 Sc 0.000 0.153 0.000
Ga1 Ga 0.000 0.000 0.500
Ga2 Ga 0.000 0.323 0.500
Ga3 Ga 0.000 0.500 0.000

***

5.
# ScGa2, relaxed, DFT GGA-PBE
# Mass density, g/cm3: 5.62
data_ScGa2
_cell_length_a 4.123
_cell_length_b 6.627
_cell_length_c 7.982
_cell_angle_alpha 90.00
_cell_angle_beta 90.00
_cell_angle_gamma 90.00
_symmetry_space_group_name_H-M 'I m m a'
_symmetry_Int_Tables_number 74
_symmetry_space_group_name_Hall '-I 2b 2'
loop_
_atom_site_label
_atom_site_type_symbol
_atom_site_fract_x
_atom_site_fract_y
_atom_site_fract_z
Sc1 Sc 0.000 0.250 0.061
Ga1 Ga 0.000 0.046 0.658

***

6.
# Sc3Ga, relaxed, DFT GGA-PBE
# Mass density, g/cm3: 4.01
data_Sc3Ga
_cell_length_a 6.2360
_cell_length_b 6.2360
_cell_length_c 5.0342
_cell_angle_alpha 90.00
_cell_angle_beta 90.00
_cell_angle_gamma 120.00
_symmetry_space_group_name_H-M 'P 63/m m c'
_symmetry_Int_Tables_number 194
_symmetry_space_group_name_Hall '-P 6c 2c'
loop_
_atom_site_label
_atom_site_type_symbol
_atom_site_fract_x
_atom_site_fract_y
_atom_site_fract_z
Sc1 Sc 0.1715 0.3431 0.2500
Ga1 Ga 0.3333 0.6667 0.7500

***

7.
# Sc3Ga2, relaxed, DFT GGA-PBE
# Mass density, g/cm3: 4.42
data_Sc3Ga2
_cell_length_a 10.850
_cell_length_b 10.850
_cell_length_c 14.014
_cell_angle_alpha 90.00
_cell_angle_beta 90.00
_cell_angle_gamma 90.00
_symmetry_space_group_name_H-M 'I 4/m c m'
_symmetry_Int_Tables_number 140
_symmetry_space_group_name_Hall '-I 4 2c'
loop_
_atom_site_label
_atom_site_type_symbol
_atom_site_fract_x
_atom_site_fract_y
_atom_site_fract_z
Sc1 Sc 0.000 0.500 0.147
Sc2 Sc 0.066 0.204 0.136
Sc3 Sc 0.170 0.330 0.500
Ga1 Ga 0.000 0.000 0.000
Ga2 Ga 0.000 0.000 0.250
Ga3 Ga 0.118 0.382 0.000
Ga4 Ga 0.176 0.324 0.300

***

8.
# Sc11Ga10, relaxed, DFT GGA-PBE
# Mass density, g/cm3: 4.71
data_Sc11Ga10
_cell_length_a 10.458
_cell_length_b 10.458
_cell_length_c 15.352
_cell_angle_alpha 90.00
_cell_angle_beta 90.00
_cell_angle_gamma 90.00
_symmetry_space_group_name_H-M 'I 4/m m m'
_symmetry_Int_Tables_number 139
_symmetry_space_group_name_Hall '-I 4 2'
loop_
_atom_site_label
_atom_site_type_symbol
_atom_site_fract_x
_atom_site_fract_y
_atom_site_fract_z
Sc1 Sc 0.000 0.000 0.168
Sc2 Sc 0.000 0.247 0.314
Sc3 Sc 0.000 0.329 0.105
Sc4 Sc 0.175 0.175 0.500
Ga1 Ga 0.000 0.000 0.392
Ga2 Ga 0.000 0.367 0.500
Ga3 Ga 0.000 0.500 0.250
Ga4 Ga 0.126 0.126 0.000
Ga5 Ga 0.206 0.206 0.176

***

9.
# ScTi2Ga4, relaxed, DFT GGA-PBE
# Mass density, g/cm3: 5.82
data_ScTi2Ga4
_cell_length_a 6.626
_cell_length_b 6.626
_cell_length_c 5.452
_cell_angle_alpha 90.00
_cell_angle_beta 90.00
_cell_angle_gamma 90.00
_symmetry_space_group_name_H-M 'I 4/m m m'
_symmetry_Int_Tables_number 139
_symmetry_space_group_name_Hall '-I 4 2'
loop_
_atom_site_label
_atom_site_type_symbol
_atom_site_fract_x
_atom_site_fract_y
_atom_site_fract_z
Sc1 Sc 0.000 0.000 0.000
Ti1 Ti 0.000 0.500 0.250
Ga1 Ga 0.200 0.200 0.500

***

10.
# Sc2ZnGa, relaxed, DFT GGA-PBE
# Mass density, g/cm3: 4.93
data_Sc2ZnGa
_cell_length_a 6.716
_cell_length_b 6.716
_cell_length_c 6.716
_cell_angle_alpha 90.00
_cell_angle_beta 90.00
_cell_angle_gamma 90.00
_symmetry_space_group_name_H-M 'F m -3 m'
_symmetry_Int_Tables_number 225
_symmetry_space_group_name_Hall '-F 4 2 3'
loop_
_atom_site_label
_atom_site_type_symbol
_atom_site_fract_x
_atom_site_fract_y
_atom_site_fract_z
Sc1 Sc 0.250 0.250 0.250
Zn1 Zn 0.000 0.000 0.000
Ga1 Ga 0.000 0.000 0.500

***

11.
# Zr5Sc5Ga6, relaxed, DFT GGA-PBE
# Spin magnetization, μB/cell: 0.03
# Mass density, g/cm3: 5.52
data_Zr5Sc5Ga6
_cell_length_a 5.859
_cell_length_b 13.946
_cell_length_c 8.101
_cell_angle_alpha 90.00
_cell_angle_beta 90.00
_cell_angle_gamma 90.00
_symmetry_space_group_name_H-M 'A m m 2'
_symmetry_Int_Tables_number 38
_symmetry_space_group_name_Hall 'A 2 -2'
loop_
_atom_site_label
_atom_site_type_symbol
_atom_site_fract_x
_atom_site_fract_y
_atom_site_fract_z
Zr1 Zr 0.000 0.000 0.000
Zr2 Zr 0.000 0.118 0.355
Zr3 Zr 0.500 0.119 0.119
Sc1 Sc 0.250 0.167 0.739
Sc2 Sc 0.500 0.000 0.477
Ga1 Ga 0.000 0.000 0.638
Ga2 Ga 0.000 0.199 0.040
Ga3 Ga 0.500 0.000 0.844
Ga4 Ga 0.500 0.199 0.436

***

12.
# GaSe2, relaxed, DFT GGA-PBE
# Spin magnetization, μB/cell: 47.25
# Mass density, g/cm3: 1.68
data_GaSe2
_cell_length_a 22.109
_cell_length_b 22.109
_cell_length_c 22.109
_cell_angle_alpha 90.00
_cell_angle_beta 90.00
_cell_angle_gamma 90.00
_symmetry_space_group_name_H-M 'I -4 3 m'
_symmetry_Int_Tables_number 217
_symmetry_space_group_name_Hall 'I -4 2 3'
loop_
_atom_site_label
_atom_site_type_symbol
_atom_site_fract_x
_atom_site_fract_y
_atom_site_fract_z
Ga1 Ga 0.053 0.310 0.566
Se1 Se 0.000 0.120 0.500
Se2 Se 0.012 0.249 0.371
Se3 Se 0.119 0.369 0.631

***

13.
# Ga3Se, relaxed, DFT GGA-PBE
# Spin magnetization, μB/cell: 0.01
# Mass density, g/cm3: 5.49
data_Ga3Se
_cell_length_a 4.432
_cell_length_b 4.432
_cell_length_c 4.432
_cell_angle_alpha 90.00
_cell_angle_beta 90.00
_cell_angle_gamma 90.00
_symmetry_space_group_name_H-M 'P m -3 m'
_symmetry_Int_Tables_number 221
_symmetry_space_group_name_Hall '-P 4 2 3'
loop_
_atom_site_label
_atom_site_type_symbol
_atom_site_fract_x
_atom_site_fract_y
_atom_site_fract_z
Ga1 Ga 0.000 0.000 0.500
Se1 Se 0.500 0.500 0.500

***

14.
# Sm9Ga5Se21, relaxed, DFT GGA-PBE
# Spin magnetization, μB/cell: 0.00
# Mass density, g/cm3: 6.24
data_Sm9Ga5Se21
_cell_length_a 17.9888
_cell_length_b 17.9888
_cell_length_c 19.1444
_cell_angle_alpha 90.00
_cell_angle_beta 90.00
_cell_angle_gamma 120.00
_symmetry_space_group_name_H-M 'R 3'
_symmetry_Int_Tables_number 146
_symmetry_space_group_name_Hall 'R 3'
loop_
_atom_site_label
_atom_site_type_symbol
_atom_site_fract_x
_atom_site_fract_y
_atom_site_fract_z
Sm1 Sm 0.0234 0.1999 0.0000
Sm2 Sm 0.0283 0.2016 0.3197
Sm3 Sm 0.0311 0.2011 0.6629
Sm4 Sm 0.1596 0.6945 0.4859
Sm5 Sm 0.1595 0.6951 0.1657
Sm6 Sm 0.1613 0.6940 0.8309
Ga1 Ga 0.0000 0.0000 0.2221
Ga2 Ga 0.0000 0.0000 0.4279
Ga3 Ga 0.0000 0.0000 0.7223
Ga4 Ga 0.0000 0.0000 0.9285
Ga5 Ga 0.0022 0.6650 0.6878
Ga6 Ga 0.0029 0.3349 0.5212
Se1 Se 0.0005 0.3356 0.0621
Se2 Se 0.0014 0.6661 0.5621
Se3 Se 0.0128 0.5500 0.4056
Se4 Se 0.0148 0.1259 0.8040
Se5 Se 0.0155 0.1335 0.4692
Se6 Se 0.0178 0.1349 0.1508
Se7 Se 0.0205 0.5535 0.7420
Se8 Se 0.0257 0.5611 0.0720
Se9 Se 0.1257 0.1102 0.3045
Se10 Se 0.1281 0.3462 0.9076
Se11 Se 0.1322 0.3592 0.2405
Se12 Se 0.1325 0.1198 0.9692
Se13 Se 0.1337 0.3532 0.5723
Se14 Se 0.1357 0.1163 0.6504

***

| no. | calculated volume (Å³ per atom) | total DFT energy (no corrections) (eV/atom) | formation energy from the elements (eV/atom) |
| --- | --- | --- | --- |
| 1 | 14.435 | -7.879 | -0.196 |
| 2 | 21.702 | -7.322 | -0.674 |
| 3 | 18.361 | -4.868 | -0.601 |
| 4 | 18.125 | -4.674 | -0.544 |
| 5 | 18.171 | -4.696 | -0.567 |
| 6 | 21.192 | -5.841 | -0.334 |
| 7 | 20.623 | -5.584 | -0.573 |
| 8 | 19.988 | -5.343 | -0.584 |
| 9 | 17.096 | -5.408 | -0.517 |
| 10 | 18.936 | -4.759 | -0.521 |
| 11 | 20.685 | -6.297 | -0.511 |
| 12 | 75.045 | -3.520 | -0.495 |
| 13 | 21.771 | -3.195 | -0.168 |
| 14 | 25.548 | -5.139 | -1.679 |